Entry 1:
Below is Sr3Ca5Fe5Co3O24 after structural relaxation, with properties calculated at the PBE with a Hubbard U level.

Properties
* SG: P1, No. 1
* ΔE_f: -2.10 eV/atom

Unit cell a=7.686 b=7.686 c=7.702 alpha=90.02 beta=90.00 gamma=90.01
Positions (direct):
Sr: 0.000 0.000 0.000
Sr: 0.000 0.494 0.000
Sr: 0.503 0.494 0.000
Ca: 0.000 0.494 0.497
Ca: 0.503 0.000 0.000
Ca: 0.503 0.000 0.497
Ca: 0.503 0.494 0.497
Ca: 0.999 0.000 0.497
Fe: 0.252 0.247 0.746
Fe: 0.252 0.748 0.250
Fe: 0.252 0.748 0.746
Fe: 0.751 0.748 0.250
Fe: 0.751 0.748 0.747
Co: 0.252 0.246 0.251
Co: 0.750 0.246 0.746
Co: 0.750 0.247 0.251
O: 0.001 0.748 0.743
O: 0.005 0.246 0.257
O: 0.251 0.246 0.494
O: 0.252 0.496 0.742
O: 0.252 0.748 0.498
O: 0.253 0.495 0.255
O: 0.254 0.000 0.254
O: 0.254 0.750 0.999
O: 0.254 0.999 0.744
O: 0.255 0.244 0.003
O: 0.497 0.244 0.253
O: 0.501 0.750 0.744
O: 0.504 0.750 0.253
O: 0.509 0.245 0.744
O: 0.748 0.244 0.997
O: 0.749 0.008 0.253
O: 0.749 0.750 0.001
O: 0.749 0.999 0.744
O: 0.750 0.246 0.500
O: 0.750 0.486 0.254
O: 0.750 0.748 0.496
O: 0.751 0.495 0.741
O: 0.994 0.246 0.743
O: 0.999 0.748 0.255

=====

Entry 2:
Below is LiMn4O8 after structural relaxation, with properties calculated at the PBE with a Hubbard U level.

Properties
* SG: P2_13, No. 198
* ΔE_f: -1.91 eV/atom

Unit cell a=8.347 b=8.347 c=8.347 alpha=90.00 beta=90.00 gamma=90.00
Positions (direct):
Li: 0.005 0.005 0.005
Li: 0.495 0.995 0.505
Li: 0.505 0.495 0.995
Li: 0.995 0.505 0.495
Mn: 0.119 0.128 0.626
Mn: 0.123 0.877 0.377
Mn: 0.126 0.381 0.872
Mn: 0.128 0.626 0.119
Mn: 0.372 0.374 0.619
Mn: 0.374 0.619 0.372
Mn: 0.377 0.123 0.877
Mn: 0.381 0.872 0.126
Mn: 0.619 0.372 0.374
Mn: 0.623 0.623 0.623
Mn: 0.626 0.119 0.128
Mn: 0.628 0.874 0.881
Mn: 0.872 0.126 0.381
Mn: 0.874 0.881 0.628
Mn: 0.877 0.377 0.123
Mn: 0.881 0.628 0.874
O: 0.102 0.118 0.396
O: 0.104 0.898 0.618
O: 0.114 0.614 0.886
O: 0.118 0.396 0.102
O: 0.133 0.146 0.860
O: 0.136 0.364 0.636
O: 0.140 0.633 0.354
O: 0.146 0.860 0.133
O: 0.354 0.140 0.633
O: 0.360 0.367 0.854
O: 0.364 0.636 0.136
O: 0.367 0.854 0.360
O: 0.382 0.604 0.602
O: 0.386 0.386 0.386
O: 0.396 0.102 0.118
O: 0.398 0.882 0.896
O: 0.602 0.382 0.604
O: 0.604 0.602 0.382
O: 0.614 0.886 0.114
O: 0.618 0.104 0.898
O: 0.633 0.354 0.140
O: 0.636 0.136 0.364
O: 0.640 0.867 0.646
O: 0.646 0.640 0.867
O: 0.854 0.360 0.367
O: 0.860 0.133 0.146
O: 0.864 0.864 0.864
O: 0.867 0.646 0.640
O: 0.882 0.896 0.398
O: 0.886 0.114 0.614
O: 0.896 0.398 0.882
O: 0.898 0.618 0.104

=====

Entry 3:
Below is Li6V3P6WO24 after structural relaxation, with properties calculated at the PBE with a Hubbard U level.

Properties
* SG: P1, No. 1
* ΔE_f: -2.62 eV/atom

Unit cell a=8.646 b=8.649 c=8.662 alpha=62.24 beta=62.03 gamma=61.97
Positions (direct):
Li: 0.000 0.000 0.000
Li: 0.078 0.502 0.929
Li: 0.273 0.858 0.654
Li: 0.518 0.689 0.302
Li: 0.720 0.357 0.148
Li: 0.897 0.123 0.489
V: 0.387 0.999 0.793
V: 0.604 0.213 0.009
V: 0.890 0.502 0.302
P: 0.200 0.109 0.188
P: 0.298 0.603 0.097
P: 0.504 0.390 0.611
P: 0.691 0.909 0.404
P: 0.785 0.814 0.913
P: 0.996 0.298 0.706
W: 0.104 0.706 0.510
O: 0.015 0.276 0.208
O: 0.056 0.451 0.683
O: 0.132 0.548 0.139
O: 0.150 0.105 0.726
O: 0.170 0.959 0.383
O: 0.214 0.050 0.037
O: 0.279 0.657 0.254
O: 0.295 0.770 0.918
O: 0.355 0.588 0.580
O: 0.370 0.150 0.143
O: 0.440 0.238 0.643
O: 0.484 0.445 0.074
O: 0.505 0.923 0.563
O: 0.563 0.353 0.768
O: 0.620 0.860 0.860
O: 0.667 0.407 0.421
O: 0.684 0.089 0.238
O: 0.730 0.744 0.348
O: 0.773 0.969 0.962
O: 0.795 0.626 0.076
O: 0.843 0.273 0.898
O: 0.847 0.883 0.463
O: 0.941 0.336 0.544
O: 0.978 0.774 0.761

=====

Entry 4:
Below is Be2Tl2CoO6F8 after structural relaxation, with properties calculated at the PBE with a Hubbard U level.

Properties
* SG: P2_1/c, No. 14
* ΔE_f: -1.65 eV/atom

Unit cell a=5.825 b=10.154 c=9.296 alpha=90.00 beta=101.77 gamma=90.00
Positions (direct):
Be: 0.234 0.133 0.431
Be: 0.234 0.367 0.931
Be: 0.766 0.633 0.069
Be: 0.766 0.867 0.569
Tl: 0.172 0.706 0.873
Tl: 0.172 0.794 0.373
Tl: 0.828 0.206 0.627
Tl: 0.828 0.294 0.127
Co: 0.500 0.000 0.000
Co: 0.500 0.500 0.500
O: 0.197 0.044 0.982
O: 0.197 0.456 0.482
O: 0.317 0.608 0.349
O: 0.317 0.892 0.849
O: 0.411 0.601 0.631
O: 0.411 0.899 0.131
O: 0.589 0.101 0.869
O: 0.589 0.399 0.369
O: 0.683 0.108 0.151
O: 0.683 0.392 0.651
O: 0.803 0.544 0.518
O: 0.803 0.956 0.018
F: 0.066 0.244 0.351
F: 0.066 0.256 0.851
F: 0.165 0.127 0.588
F: 0.165 0.373 0.088
F: 0.181 0.004 0.335
F: 0.181 0.496 0.835
F: 0.499 0.657 0.050
F: 0.499 0.843 0.550
F: 0.501 0.157 0.450
F: 0.501 0.343 0.950
F: 0.819 0.504 0.165
F: 0.819 0.996 0.665
F: 0.835 0.627 0.912
F: 0.835 0.873 0.412
F: 0.934 0.744 0.149
F: 0.934 0.756 0.649

=====

Entry 5:
Below is Co2C2O7 after structural relaxation, with properties calculated at the PBE with a Hubbard U level.

Properties
* SG: P2_1/c, No. 14
* ΔE_f: -1.44 eV/atom

Unit cell a=8.047 b=7.880 c=11.407 alpha=90.00 beta=101.33 gamma=90.00
Positions (direct):
Co: 0.142 0.127 0.117
Co: 0.142 0.373 0.617
Co: 0.296 0.568 0.874
Co: 0.296 0.932 0.374
Co: 0.704 0.068 0.626
Co: 0.704 0.432 0.126
Co: 0.858 0.627 0.383
Co: 0.858 0.873 0.883
C: 0.226 0.621 0.454
C: 0.226 0.879 0.954
C: 0.339 0.086 0.604
C: 0.339 0.414 0.104
C: 0.661 0.586 0.896
C: 0.661 0.914 0.396
C: 0.774 0.121 0.046
C: 0.774 0.379 0.546
O: 0.081 0.704 0.441
O: 0.081 0.796 0.941
O: 0.162 0.532 0.732
O: 0.162 0.968 0.232
O: 0.240 0.064 0.500
O: 0.240 0.436 0.000
O: 0.243 0.032 0.993
O: 0.243 0.468 0.493
O: 0.291 0.190 0.679
O: 0.291 0.310 0.179
O: 0.353 0.701 0.427
O: 0.353 0.799 0.927
O: 0.478 0.001 0.633
O: 0.478 0.499 0.133
O: 0.522 0.501 0.867
O: 0.522 0.999 0.367
O: 0.647 0.201 0.073
O: 0.647 0.299 0.573
O: 0.709 0.690 0.821
O: 0.709 0.810 0.321
O: 0.757 0.532 0.507
O: 0.757 0.968 0.007
O: 0.760 0.564 0.000
O: 0.760 0.936 0.500
O: 0.838 0.032 0.768
O: 0.838 0.468 0.268
O: 0.919 0.204 0.059
O: 0.919 0.296 0.559